Record 1
4
Lattice="2.9109 0.0000 0.0000 0.0000 2.9109 0.0000 0.0000 0.0000 9.1073" Properties=species:S:1:pos:R:3 comment="TiCd GGA-PBE relaxed" ef_ev_per_atom=-0.052 space_group="No. 129" pbc="T T T"
Ti 0.7277 0.7277 0.9773
Ti 2.1832 2.1832 8.1300
Cd 0.7277 0.7277 5.7911
Cd 2.1832 2.1832 3.3162


Record 2
8
Lattice="6.2032 0.0000 0.0000 -3.1016 5.3721 0.0000 0.0000 0.0000 4.8317" Properties=species:S:1:pos:R:3 comment="TiCd3 GGA-PBE relaxed" ef_ev_per_atom=0.047 space_group="No. 194" pbc="T T T"
Ti 0.0000 3.5814 1.2079
Ti 3.1016 1.7907 3.6238
Cd 0.0000 1.8263 3.6238
Cd -1.5199 4.4589 3.6238
Cd 1.5816 0.9132 1.2079
Cd 1.5199 4.4589 3.6238
Cd 4.6215 0.9132 1.2079
Cd 3.1016 3.5458 1.2079


Record 3
16
Lattice="7.8313 0.0000 0.0000 0.0000 7.8313 0.0000 0.0000 0.0000 7.8313" Properties=species:S:1:pos:R:3 comment="Tl3Cd GGA-PBE relaxed" ef_ev_per_atom=0.083 space_group="No. 225" pbc="T T T"
Tl 0.0000 0.0000 0.0000
Tl 0.0000 3.9156 3.9156
Tl 1.9578 1.9578 1.9578
Tl 1.9578 1.9578 5.8735
Tl 1.9578 5.8735 1.9578
Tl 1.9578 5.8735 5.8735
Tl 3.9156 0.0000 3.9156
Tl 3.9156 3.9156 0.0000
Tl 5.8735 1.9578 1.9578
Tl 5.8735 1.9578 5.8735
Tl 5.8735 5.8735 1.9578
Tl 5.8735 5.8735 5.8735
Cd 0.0000 0.0000 3.9156
Cd 0.0000 3.9156 0.0000
Cd 3.9156 0.0000 0.0000
Cd 3.9156 3.9156 3.9156


Record 4
8
Lattice="4.8452 0.0000 0.0000 0.0000 4.8452 0.0000 0.0000 0.0000 9.9439" Properties=species:S:1:pos:R:3 comment="Tl3Cd GGA-PBE relaxed" ef_ev_per_atom=0.032 space_group="No. 139" pbc="T T T"
Tl 0.0000 0.0000 0.0000
Tl 0.0000 2.4226 2.4860
Tl 0.0000 2.4226 7.4579
Tl 2.4226 0.0000 2.4860
Tl 2.4226 0.0000 7.4579
Tl 2.4226 2.4226 4.9719
Cd 0.0000 0.0000 4.9719
Cd 2.4226 2.4226 0.0000


Record 5
4
Lattice="4.9033 0.0000 0.0000 0.0000 4.9033 0.0000 0.0000 0.0000 4.9033" Properties=species:S:1:pos:R:3 comment="Tl3Cd GGA-PBE relaxed" ef_ev_per_atom=0.037 space_group="No. 221" pbc="T T T"
Tl 0.0000 0.0000 2.4516
Tl 0.0000 2.4516 0.0000
Tl 2.4516 0.0000 0.0000
Cd 2.4516 2.4516 2.4516


Record 6
16
Lattice="7.5592 0.0000 0.0000 0.0000 7.5592 0.0000 0.0000 0.0000 7.5592" Properties=species:S:1:pos:R:3 comment="Y2TlCd GGA-PBE relaxed" ef_ev_per_atom=-0.379 space_group="No. 225" pbc="T T T"
Y 1.8898 1.8898 1.8898
Y 1.8898 1.8898 5.6694
Y 1.8898 5.6694 1.8898
Y 1.8898 5.6694 5.6694
Y 5.6694 1.8898 1.8898
Y 5.6694 1.8898 5.6694
Y 5.6694 5.6694 1.8898
Y 5.6694 5.6694 5.6694
Tl 0.0000 0.0000 0.0000
Tl 0.0000 3.7796 3.7796
Tl 3.7796 0.0000 3.7796
Tl 3.7796 3.7796 0.0000
Cd 0.0000 0.0000 3.7796
Cd 0.0000 3.7796 0.0000
Cd 3.7796 0.0000 0.0000
Cd 3.7796 3.7796 3.7796


Record 7
12
Lattice="7.2028 0.0000 0.0000 0.0000 7.2028 0.0000 0.0000 0.0000 7.2028" Properties=species:S:1:pos:R:3 comment="YTlCd GGA-PBE relaxed" ef_ev_per_atom=0.063 space_group="No. 216" pbc="T T T"
Y 0.0000 0.0000 0.0000
Y 0.0000 3.6014 3.6014
Y 3.6014 0.0000 3.6014
Y 3.6014 3.6014 0.0000
Tl 1.8007 1.8007 5.4021
Tl 1.8007 5.4021 1.8007
Tl 5.4021 1.8007 1.8007
Tl 5.4021 5.4021 5.4021
Cd 1.8007 1.8007 1.8007
Cd 1.8007 5.4021 5.4021
Cd 5.4021 1.8007 5.4021
Cd 5.4021 5.4021 1.8007


Record 8
2
Lattice="3.7030 0.0000 0.0000 0.0000 3.7030 0.0000 0.0000 0.0000 3.7030" Properties=species:S:1:pos:R:3 comment="TmCd GGA-PBE relaxed" ef_ev_per_atom=-0.313 space_group="No. 221" pbc="T T T"
Tm 0.0000 0.0000 0.0000
Cd 1.8515 1.8515 1.8515


Record 9
16
Lattice="7.2768 0.0000 0.0000 0.0000 7.2768 0.0000 0.0000 0.0000 7.2768" Properties=species:S:1:pos:R:3 comment="UCd3 GGA-PBE relaxed" ef_ev_per_atom=0.272 space_group="No. 225" pbc="T T T"
U 0.0000 0.0000 0.0000
U 0.0000 3.6384 3.6384
U 3.6384 0.0000 3.6384
U 3.6384 3.6384 0.0000
Cd 0.0000 0.0000 3.6384
Cd 0.0000 3.6384 0.0000
Cd 1.8192 1.8192 1.8192
Cd 1.8192 1.8192 5.4576
Cd 1.8192 5.4576 1.8192
Cd 1.8192 5.4576 5.4576
Cd 3.6384 0.0000 0.0000
Cd 3.6384 3.6384 3.6384
Cd 5.4576 1.8192 1.8192
Cd 5.4576 1.8192 5.4576
Cd 5.4576 5.4576 1.8192
Cd 5.4576 5.4576 5.4576


Record 10
6
Lattice="2.9309 0.0000 0.0000 -1.4654 2.5382 0.0000 0.0000 0.0000 18.9789" Properties=species:S:1:pos:R:3 comment="UCd GGA-PBE relaxed" ef_ev_per_atom=0.410 space_group="No. 160" pbc="T T T"
U 0.0000 0.0000 0.0000
U 0.0000 1.6921 12.6526
U 1.4654 0.8461 6.3263
Cd 0.0000 0.0000 15.5863
Cd 0.0000 1.6921 9.2600
Cd 1.4654 0.8461 2.9337


Record 11
16
Lattice="6.9535 0.0000 0.0000 0.0000 6.9535 0.0000 0.0000 0.0000 6.9535" Properties=species:S:1:pos:R:3 comment="U3Cd GGA-PBE relaxed" ef_ev_per_atom=0.487 space_group="No. 225" pbc="T T T"
U 0.0000 0.0000 0.0000
U 0.0000 3.4768 3.4768
U 1.7384 1.7384 1.7384
U 1.7384 1.7384 5.2152
U 1.7384 5.2152 1.7384
U 1.7384 5.2152 5.2152
U 3.4768 0.0000 3.4768
U 3.4768 3.4768 0.0000
U 5.2152 1.7384 1.7384
U 5.2152 1.7384 5.2152
U 5.2152 5.2152 1.7384
U 5.2152 5.2152 5.2152
Cd 0.0000 0.0000 3.4768
Cd 0.0000 3.4768 0.0000
Cd 3.4768 0.0000 0.0000
Cd 3.4768 3.4768 3.4768


Record 12
112
Lattice="0.0000 10.8924 10.8924 10.8924 0.0000 10.8924 10.8924 10.8924 0.0000" Properties=species:S:1:pos:R:3 comment="Y11Cd45 GGA-PBE relaxed" ef_ev_per_atom=-0.242 space_group="No. 216" pbc="T T T"
Y 0.0000 0.0000 0.0000
Y 12.9259 8.8589 8.8589
Y 7.3632 7.3632 7.3632
Y 14.4217 14.4217 7.3632
Y 14.4217 7.3632 14.4217
Y 18.0079 14.6694 11.1884
Y 18.0079 11.1884 14.6694
Y 21.4889 14.6694 14.6694
Y 8.8589 12.9259 8.8589
Y 8.8589 8.8589 12.9259
Y 12.9259 12.9259 12.9259
Y 14.6694 18.0079 11.1884
Y 14.6694 11.1884 18.0079
Y 21.4889 18.0079 18.0079
Y 16.3387 16.3387 16.3387
Y 7.3632 14.4217 14.4217
Y 11.1884 18.0079 14.6694
Y 14.6694 21.4889 14.6694
Y 11.1884 14.6694 18.0079
Y 18.0079 21.4889 18.0079
Y 14.6694 14.6694 21.4889
Y 18.0079 18.0079 21.4889
Cd 1.8867 1.8867 1.8867
Cd 9.0057 9.0057 1.8867
Cd 9.0057 1.8867 9.0057
Cd 5.4462 5.4462 1.9144
Cd 5.4462 1.9144 5.4462
Cd 8.9781 5.4462 5.4462
Cd 12.2617 9.5231 5.7362
Cd 12.2617 5.7362 9.5231
Cd 16.0486 9.5231 9.5231
Cd 10.8924 10.8924 3.4042
Cd 10.8924 3.4042 10.8924
Cd 18.3807 10.8924 10.8924
Cd 10.6182 7.1229 7.1229
Cd 14.6620 11.1667 7.1229
Cd 14.6620 7.1229 11.1667
Cd 3.6988 3.6988 3.6988
Cd 7.1936 7.1936 3.6988
Cd 7.1936 3.6988 7.1936
Cd 9.0575 9.0575 5.1394
Cd 12.7273 12.7273 5.1394
Cd 9.0575 5.1394 9.0575
Cd 16.6454 12.7273 9.0575
Cd 12.7273 5.1394 12.7273
Cd 16.6454 9.0575 12.7273
Cd 5.4462 5.4462 5.4462
Cd 19.9666 12.7107 12.7107
Cd 9.9110 9.9110 7.8270
Cd 11.8738 11.8738 7.8270
Cd 9.9110 7.8270 9.9110
Cd 13.9578 11.8738 9.9110
Cd 11.8738 7.8270 11.8738
Cd 13.9578 9.9110 11.8738
Cd 9.5231 12.2617 5.7362
Cd 9.5231 5.7362 12.2617
Cd 16.0486 12.2617 12.2617
Cd 1.9144 5.4462 5.4462
Cd 5.4462 8.9781 5.4462
Cd 5.4462 5.4462 8.9781
Cd 7.1229 10.6182 7.1229
Cd 11.1667 14.6620 7.1229
Cd 7.1229 7.1229 10.6182
Cd 14.6620 14.6620 10.6182
Cd 11.1667 7.1229 14.6620
Cd 14.6620 10.6182 14.6620
Cd 18.2294 14.4479 14.4479
Cd 3.6988 7.1936 7.1936
Cd 10.8924 10.8924 10.8924
Cd 7.8270 9.9110 9.9110
Cd 11.8738 13.9578 9.9110
Cd 11.8738 9.9110 13.9578
Cd 5.1394 9.0575 9.0575
Cd 12.7273 16.6454 9.0575
Cd 12.7273 9.0575 16.6454
Cd 15.3449 15.3449 13.2687
Cd 17.3324 17.3324 13.2687
Cd 15.3449 13.2687 15.3449
Cd 19.4086 17.3324 15.3449
Cd 17.3324 13.2687 17.3324
Cd 19.4086 15.3449 17.3324
Cd 7.8270 11.8738 11.8738
Cd 9.9110 13.9578 11.8738
Cd 9.9110 11.8738 13.9578
Cd 5.7362 12.2617 9.5231
Cd 9.5231 16.0486 9.5231
Cd 5.7362 9.5231 12.2617
Cd 12.2617 16.0486 12.2617
Cd 9.5231 9.5231 16.0486
Cd 12.2617 12.2617 16.0486
Cd 1.8867 9.0057 9.0057
Cd 13.2687 15.3449 15.3449
Cd 17.3324 19.4086 15.3449
Cd 17.3324 15.3449 19.4086
Cd 14.4479 18.2294 14.4479
Cd 14.4479 14.4479 18.2294
Cd 18.2294 18.2294 18.2294
Cd 3.4042 10.8924 10.8924
Cd 10.8924 18.3807 10.8924
Cd 10.8924 10.8924 18.3807
Cd 7.1229 14.6620 11.1667
Cd 7.1229 11.1667 14.6620
Cd 10.6182 14.6620 14.6620
Cd 12.7107 19.9666 12.7107
Cd 12.7107 12.7107 19.9666
Cd 19.9666 19.9666 19.9666
Cd 5.1394 12.7273 12.7273
Cd 9.0575 16.6454 12.7273
Cd 9.0575 12.7273 16.6454
Cd 13.2687 17.3324 17.3324
Cd 15.3449 19.4086 17.3324
Cd 15.3449 17.3324 19.4086


Record 13
2
Lattice="3.7572 0.0000 0.0000 0.0000 3.7572 0.0000 0.0000 0.0000 3.7572" Properties=species:S:1:pos:R:3 comment="YCd GGA-PBE relaxed" ef_ev_per_atom=-0.356 space_group="No. 221" pbc="T T T"
Y 0.0000 0.0000 0.0000
Cd 1.8786 1.8786 1.8786


Record 14
16
Lattice="7.1629 0.0000 0.0000 0.0000 10.9703 0.0000 0.0000 0.0000 4.9034" Properties=species:S:1:pos:R:3 comment="YCd3 GGA-PBE relaxed" ef_ev_per_atom=-0.293 space_group="No. 63" pbc="T T T"
Y 0.0000 1.4943 1.2259
Y 0.0000 9.4760 3.6776
Y 3.5814 3.9908 3.6776
Y 3.5814 6.9794 1.2259
Cd 0.0000 3.5612 3.6776
Cd 0.0000 7.4091 1.2259
Cd 1.5444 4.4525 1.2259
Cd 1.5444 6.5178 3.6776
Cd 2.0370 1.0326 3.6776
Cd 2.0370 9.9376 1.2259
Cd 3.5814 1.9239 1.2259
Cd 3.5814 9.0463 3.6776
Cd 5.1258 1.0326 3.6776
Cd 5.1258 9.9376 1.2259
Cd 5.6184 4.4525 1.2259
Cd 5.6184 6.5178 3.6776


Record 15
16
Lattice="7.2118 0.0000 0.0000 0.0000 7.2118 0.0000 0.0000 0.0000 7.2118" Properties=species:S:1:pos:R:3 comment="YCd3 GGA-PBE relaxed" ef_ev_per_atom=-0.273 space_group="No. 225" pbc="T T T"
Y 0.0000 0.0000 0.0000
Y 0.0000 3.6059 3.6059
Y 3.6059 0.0000 3.6059
Y 3.6059 3.6059 0.0000
Cd 0.0000 0.0000 3.6059
Cd 0.0000 3.6059 0.0000
Cd 1.8029 1.8029 1.8029
Cd 1.8029 1.8029 5.4088
Cd 1.8029 5.4088 1.8029
Cd 1.8029 5.4088 5.4088
Cd 3.6059 0.0000 0.0000
Cd 3.6059 3.6059 3.6059
Cd 5.4088 1.8029 1.8029
Cd 5.4088 1.8029 5.4088
Cd 5.4088 5.4088 1.8029
Cd 5.4088 5.4088 5.4088


Record 16
4
Lattice="3.1059 0.0000 0.0000 0.0000 3.1059 0.0000 0.0000 0.0000 9.2897" Properties=species:S:1:pos:R:3 comment="ZrCd GGA-PBE relaxed" ef_ev_per_atom=-0.110 space_group="No. 129" pbc="T T T"
Zr 0.7765 0.7765 1.1389
Zr 2.3294 2.3294 8.1507
Cd 0.7765 0.7765 5.7807
Cd 2.3294 2.3294 3.5090


Record 17
5
Lattice="5.6063 0.0000 0.0000 0.0000 5.6063 0.0000 0.0000 0.0000 5.2355" Properties=species:S:1:pos:R:3 comment="Zr3Cd2 GGA-PBE relaxed" ef_ev_per_atom=1.172 polymorph_energy_ev_per_atom=0.000 space_group="No. 123" pbc="T T T"
Zr 0.0000 0.0000 0.0000
Zr 0.0000 2.8031 0.0000
Zr 2.8031 0.0000 0.0000
Cd 2.8031 2.8031 0.0000
Cd 2.8031 2.8031 2.6178


Record 18
4
Lattice="2.9236 0.0000 0.0000 0.0000 2.9236 0.0000 0.0000 0.0000 12.0158" Properties=species:S:1:pos:R:3 comment="ZrCd GGA-PBE relaxed" ef_ev_per_atom=0.547 space_group="No. 123" pbc="T T T"
Zr 0.0000 0.0000 1.4885
Zr 0.0000 0.0000 10.5273
Cd 0.0000 0.0000 4.5172
Cd 0.0000 0.0000 7.4986


Record 19
2
Lattice="3.7760 0.0000 0.0000 0.0000 3.7760 0.0000 0.0000 0.0000 3.7760" Properties=species:S:1:pos:R:3 comment="Ce GGA-PBE relaxed" ef_ev_per_atom=0.228 polymorph_energy_ev_per_atom=0.228 space_group="No. 229" pbc="T T T"
Ce 0.0000 0.0000 0.0000
Ce 1.8880 1.8880 1.8880


Record 20
2
Lattice="3.2610 0.0000 0.0000 -1.6305 2.8241 0.0000 0.0000 0.0000 5.7563" Properties=species:S:1:pos:R:3 comment="Ce GGA-PBE relaxed" ef_ev_per_atom=0.081 polymorph_energy_ev_per_atom=0.081 space_group="No. 194" pbc="T T T"
Ce 0.0000 1.8828 1.4391
Ce 1.6305 0.9414 4.3172


Record 21
4
Lattice="3.1874 0.0000 0.0000 0.0000 6.1724 0.0000 0.0000 0.0000 5.2814" Properties=species:S:1:pos:R:3 comment="Ce GGA-PBE relaxed" ef_ev_per_atom=0.040 polymorph_energy_ev_per_atom=0.040 space_group="No. 63" pbc="T T T"
Ce 0.0000 0.6232 1.3204
Ce 0.0000 5.5492 3.9611
Ce 1.5937 2.4630 3.9611
Ce 1.5937 3.7094 1.3204


Record 22
4
Lattice="4.7204 0.0000 0.0000 0.0000 4.7204 0.0000 0.0000 0.0000 4.7204" Properties=species:S:1:pos:R:3 comment="Ce GGA-PBE relaxed" ef_ev_per_atom=0.002 polymorph_energy_ev_per_atom=0.002 space_group="No. 225" pbc="T T T"
Ce 0.0000 0.0000 0.0000
Ce 0.0000 2.3602 2.3602
Ce 2.3602 0.0000 2.3602
Ce 2.3602 2.3602 0.0000


Record 23
4
Lattice="5.7713 0.0000 0.0000 0.0000 3.3242 0.0000 -1.9277 0.0000 5.4397" Properties=species:S:1:pos:R:3 comment="Ce GGA-PBE relaxed" ef_ev_per_atom=0.000 polymorph_energy_ev_per_atom=0.000 space_group="No. 12" pbc="T T T"
Ce 0.9290 0.0000 1.3626
Ce 0.0290 1.6621 4.0771
Ce 3.8147 1.6621 1.3626
Ce 2.9146 0.0000 4.0771


Record 24
4
Lattice="3.3695 0.0000 0.0000 -1.6847 2.9180 0.0000 0.0000 0.0000 11.1739" Properties=species:S:1:pos:R:3 comment="Ce GGA-PBE relaxed" ef_ev_per_atom=0.043 polymorph_energy_ev_per_atom=0.043 space_group="No. 194" pbc="T T T"
Ce 0.0000 0.0000 0.0000
Ce 0.0000 0.0000 5.5870
Ce 0.0000 1.9454 2.7935
Ce 1.6847 0.9727 8.3804